# 1
The following is a PBE calculation of a geometry-optimized Ba32Sb7Pb25O96 structure, from the Materials Project database.

Geometry as POSCAR:
```
Ba32Sb7Pb25O96
1.0
8.671 0.000 0.000
-0.003 17.318 0.000
-0.002 -8.656 17.352
Ba Sb Pb O
32 7 25 96
Cartesian
0.000 0.000 0.000
8.668 -4.317 8.671
0.002 8.659 4.337
0.008 0.023 8.681
4.301 8.660 8.675
4.317 -4.321 8.666
4.315 -4.327 13.005
4.319 12.974 4.346
4.331 0.000 0.024
4.328 -4.322 17.341
4.327 4.333 4.333
4.324 0.019 17.350
4.326 4.347 8.675
4.326 4.336 13.031
4.333 -0.013 4.356
4.334 0.012 13.012
4.333 8.658 4.357
4.337 12.988 0.002
4.328 8.658 13.013
4.349 0.012 8.661
8.640 0.022 13.010
8.646 12.993 4.369
8.652 -0.022 4.355
8.648 -4.314 12.998
8.648 -0.002 17.351
8.652 4.341 13.020
8.649 8.668 8.672
8.650 8.661 13.024
8.659 -4.334 17.347
8.660 4.342 4.332
8.663 4.338 8.651
8.657 12.978 0.013
2.149 10.831 10.856
2.158 2.169 2.165
6.490 -2.134 15.178
6.496 6.509 6.507
6.494 2.173 15.187
6.493 6.477 15.188
6.499 -2.156 6.511
2.151 -6.492 15.183
2.151 2.171 15.190
2.143 6.534 10.849
2.159 -2.161 6.510
2.161 2.170 6.473
2.157 -2.153 15.180
2.154 2.181 10.841
2.157 6.501 6.508
2.161 10.825 2.178
2.158 6.493 15.191
2.156 10.828 6.541
2.155 15.180 2.175
2.163 -2.176 10.848
2.163 6.468 2.163
6.485 -6.490 15.185
6.486 2.183 10.869
6.484 6.512 10.842
6.482 10.838 10.843
6.495 2.164 2.172
6.496 2.175 6.509
6.497 6.497 2.172
6.489 10.835 6.513
6.490 15.155 2.174
6.497 -2.154 10.838
6.497 10.828 2.158
0.123 2.153 2.154
0.115 10.859 10.825
2.120 2.198 13.057
2.122 6.545 8.664
2.131 4.204 2.148
2.135 4.347 6.511
2.125 8.798 10.852
2.141 -4.327 15.170
2.139 8.649 2.129
2.137 10.806 12.892
2.150 -2.157 4.356
2.152 -2.194 8.665
2.148 2.180 8.657
2.150 8.660 15.201
2.150 13.001 6.531
2.158 2.146 0.128
2.159 0.007 10.860
2.152 4.355 10.837
2.152 4.337 15.203
2.154 10.803 4.358
2.151 6.531 17.342
2.163 -4.453 10.874
2.167 -0.006 6.498
2.164 2.205 4.206
2.163 0.008 15.209
2.162 6.478 4.350
2.168 2.180 17.324
2.168 12.998 2.157
2.174 0.139 2.197
2.173 6.504 13.038
2.179 -2.170 13.033
2.185 8.657 6.523
2.180 10.833 8.816
2.192 -2.205 17.329
4.191 2.209 2.161
4.184 10.827 10.873
4.316 -6.458 15.181
4.325 6.550 10.828
4.336 2.153 6.478
4.329 10.858 6.521
4.332 15.204 2.157
4.341 -2.203 10.833
4.343 6.484 2.195
4.340 2.178 10.914
4.354 10.805 2.145
4.463 -2.162 6.504
4.459 6.493 6.525
4.468 -2.111 15.175
4.468 6.444 15.191
4.486 2.182 15.192
6.459 0.004 2.152
6.458 2.206 8.659
6.459 10.864 8.675
6.469 0.003 10.888
6.462 13.006 2.133
6.464 8.682 10.856
6.477 -6.488 17.348
6.475 6.495 13.166
6.476 8.520 15.217
6.484 0.023 15.169
6.483 8.545 6.493
6.488 10.817 13.024
6.490 -0.123 6.528
6.493 -4.178 15.171
6.487 -2.126 17.201
6.495 6.509 4.473
6.492 2.188 13.185
6.490 10.863 4.368
6.498 2.145 4.342
6.503 -2.110 13.160
6.502 4.328 2.159
6.496 4.361 10.893
6.498 2.168 17.192
6.499 6.511 8.544
6.502 13.134 6.504
6.508 -2.137 4.473
6.513 -2.156 8.545
6.507 4.326 15.182
6.518 -4.322 10.887
6.515 4.475 6.492
6.514 6.436 17.205
6.532 8.651 2.137
8.501 2.159 15.193
8.516 -2.109 15.196
8.518 6.471 15.157
8.534 -2.152 6.499
8.532 6.536 6.507
8.631 2.155 10.871
8.636 6.565 10.874
8.641 10.853 2.156
8.646 15.195 2.178
8.653 -6.503 15.195
8.654 -2.162 10.872
8.653 2.152 6.502
8.653 6.459 2.165
8.651 10.853 6.574
```

Values from the calculation:
E   -5.93 eV/atom
E_form   -2.225 eV/atom
Crystal system   triclinic
Calculated volume   16.3 A^3/atom

---

# 2
The following is a PBE calculation of a geometry-optimized Na10Y4Nb4Si9S3O48 structure, from the Materials Project database.

Geometry as POSCAR:
```
Na10Y4Nb4Si9S3O48
1.0
9.226 0.000 0.000
0.016 16.108 0.000
0.062 0.524 22.995
Na Y Nb Si S O
30 12 12 27 9 144
Cartesian
0.000 0.000 0.000
0.074 11.099 15.327
0.181 15.814 7.817
1.285 8.013 19.311
1.286 13.106 3.983
1.405 13.940 19.157
1.433 8.316 11.507
1.651 2.725 19.443
2.842 5.462 5.743
2.932 16.074 9.708
3.090 5.783 17.290
3.171 11.078 13.493
3.153 10.707 2.081
3.299 16.502 21.251
4.402 2.468 7.896
4.559 13.668 7.804
4.631 8.034 0.001
4.793 3.053 15.362
4.787 7.761 7.809
5.891 5.054 3.957
6.046 0.263 11.520
6.173 5.818 19.306
7.463 13.512 5.754
7.539 8.023 9.684
7.572 13.879 17.329
7.712 8.401 21.116
7.745 2.989 13.593
7.745 2.672 2.034
9.018 10.527 7.892
9.160 5.612 7.801
2.900 5.136 2.543
3.041 10.807 10.239
3.054 15.992 6.292
3.095 11.027 21.762
3.089 16.237 17.836
3.084 5.448 14.072
7.528 13.179 2.555
7.612 8.201 17.863
7.658 3.002 21.731
7.647 2.755 10.252
7.659 7.939 6.286
7.706 13.531 14.075
2.855 15.823 1.679
2.932 10.791 16.950
2.964 5.193 9.284
3.160 5.445 20.749
3.143 10.620 5.538
3.249 16.044 13.173
7.451 7.746 1.653
7.588 13.254 9.290
7.617 2.837 17.068
7.748 2.569 5.536
7.820 13.543 20.847
7.810 7.978 13.151
0.213 16.012 4.100
0.340 10.952 19.376
0.341 5.377 11.728
1.138 2.616 7.893
1.150 13.178 0.310
1.203 8.157 15.593
1.622 13.017 7.793
1.709 2.671 0.221
1.774 13.789 15.629
1.751 8.279 7.955
4.326 2.930 11.801
4.364 8.530 19.467
4.345 13.513 4.120
4.820 7.956 4.095
4.947 2.843 19.392
4.963 13.436 11.724
5.713 5.101 0.283
5.762 10.672 7.894
5.909 16.282 15.576
6.229 4.962 7.795
6.373 5.717 15.618
6.341 10.726 0.240
6.358 0.226 7.953
8.939 0.462 19.442
8.951 10.992 11.811
8.947 5.463 4.119
9.103 5.217 19.326
1.554 7.447 0.147
1.620 2.402 15.505
4.507 7.697 11.636
4.528 13.243 19.323
4.485 2.180 4.001
6.220 10.479 15.483
6.199 15.462 0.153
9.128 15.747 11.624
9.108 10.235 4.003
0.077 7.575 0.302
0.142 13.885 21.950
0.136 2.523 15.552
0.111 2.879 6.556
0.140 8.335 14.243
0.169 8.018 7.737
0.155 2.264 0.122
0.224 13.379 15.469
0.227 2.267 9.131
0.299 13.162 1.643
0.342 8.176 16.921
1.107 15.872 5.415
1.282 5.440 12.990
1.284 10.607 11.647
1.318 16.276 19.242
1.329 10.831 20.598
1.285 5.183 3.992
1.308 16.136 2.737
1.347 11.170 17.987
1.338 5.577 10.351
1.385 15.869 11.732
1.378 10.317 4.028
1.544 5.232 19.482
1.893 7.150 21.924
1.908 9.129 9.298
1.915 11.998 6.472
1.971 14.581 16.999
1.946 4.093 8.041
1.999 1.524 14.367
1.977 3.614 1.454
1.990 14.676 0.350
2.049 9.656 15.651
2.121 1.856 16.780
2.130 14.557 7.720
2.164 6.840 1.336
2.172 11.975 0.156
2.174 8.786 0.055
2.227 6.955 15.478
2.251 3.736 15.397
2.267 1.489 7.703
2.407 4.003 21.827
2.393 12.394 9.037
2.424 14.696 14.327
2.469 9.144 6.672
2.562 6.813 8.059
2.555 1.204 0.398
2.618 12.315 15.722
3.451 12.088 4.140
3.498 7.077 19.534
3.495 1.456 11.908
3.670 9.421 18.150
3.640 14.441 2.834
3.683 3.803 10.442
3.760 1.768 19.245
3.877 9.018 11.555
3.903 14.584 19.225
3.969 12.666 20.553
3.951 7.068 12.837
3.946 9.371 4.197
3.966 12.204 11.676
3.958 3.559 3.891
3.963 6.606 3.948
3.998 1.667 5.295
4.074 14.909 11.827
4.107 9.336 20.813
4.070 14.284 5.497
4.059 1.305 2.878
4.097 3.782 13.123
4.172 4.374 19.506
4.208 12.396 18.145
4.211 6.870 10.417
4.562 4.988 8.029
4.725 5.815 21.927
4.731 10.600 15.612
4.713 15.578 0.260
4.732 10.933 6.558
4.792 16.071 7.733
4.807 5.346 15.472
4.825 16.390 14.178
4.786 10.323 0.115
4.850 10.319 9.131
4.907 16.216 16.801
4.877 5.156 1.632
5.711 7.825 5.414
5.817 2.638 20.682
5.881 2.548 11.633
5.918 8.149 19.313
5.910 13.475 12.982
5.909 13.234 3.997
5.950 3.073 18.036
5.907 8.076 2.730
5.958 13.625 10.346
6.012 13.387 19.430
5.977 2.256 4.021
5.996 7.823 11.749
6.524 9.610 14.318
6.514 1.079 9.294
6.518 3.942 6.473
6.581 15.109 21.973
6.575 6.545 16.966
6.570 12.147 8.044
6.579 11.652 1.490
6.598 6.599 0.344
6.694 1.637 15.641
6.714 3.873 0.213
6.736 6.503 7.720
6.792 9.923 16.717
6.770 14.891 1.380
6.821 11.819 15.361
6.805 0.675 0.025
6.886 15.030 15.474
6.888 9.541 7.705
7.003 6.641 14.297
7.038 12.127 21.887
7.000 4.340 9.039
7.074 1.089 6.668
7.188 4.255 15.676
7.165 9.257 0.392
7.183 14.866 8.057
8.057 4.035 4.145
8.125 9.514 11.916
8.201 15.069 19.592
8.241 6.386 2.835
8.287 1.325 18.132
8.311 11.863 10.452
8.366 4.618 20.597
8.474 0.956 11.541
8.585 6.738 19.200
8.571 15.121 12.825
8.570 4.147 11.689
8.552 1.317 4.199
8.609 9.689 19.253
8.583 11.620 3.907
8.591 14.659 3.939
8.624 9.723 5.301
8.677 6.860 11.833
8.680 6.231 5.500
8.732 12.420 19.535
8.726 4.155 18.051
8.687 9.371 2.882
8.723 11.834 13.139
8.823 1.346 20.768
8.818 14.914 10.408
9.182 13.039 8.026
```

Values from the calculation:
E   -7.30 eV/atom
E_form   -2.871 eV/atom
Crystal system   triclinic
Calculated volume   14.6 A^3/atom